! Na6Y3NbSi2P4O24 PBE-GGA optimized geometry; values from VASP
! Energy of formation from the pure elements = -3.040 eV/atom
! Offset from the most stable computed form = 0.002 eV per atom
&SYSTEM
  ibrav = 0, nat = 80, ntyp = 6
/
ATOMIC_SPECIES
O 16.00 O.upf
Na 22.99 Na.upf
P 30.97 P.upf
Si 28.09 Si.upf
Y 88.91 Y.upf
Nb 92.91 Nb.upf
CELL_PARAMETERS angstrom
13.408 0.001 -9.062
0.001 9.245 0.000
-0.227 0.001 9.305
ATOMIC_POSITIONS angstrom
O 5.995 1.297 -0.111
O 4.690 8.609 -1.069
O 12.065 7.895 -1.116
Na -0.159 5.380 6.880
P 6.485 4.077 2.633
O 3.332 7.680 4.646
Si 1.981 5.612 0.998
O 8.447 7.864 2.424
O 7.361 7.758 0.148
Y 5.236 6.852 0.491
O 5.683 5.028 1.703
O 2.031 3.983 0.939
O 5.360 3.272 3.415
Na 9.182 3.980 -3.477
O 8.701 0.575 0.925
P 13.265 0.437 -6.815
O 12.386 0.406 -2.828
Nb 11.799 6.896 0.699
O 9.888 7.698 0.311
O 3.487 1.371 -0.082
O 11.151 5.441 -0.460
Na 3.964 5.381 3.839
P 6.562 5.059 -2.284
O 7.324 3.004 1.911
Na 0.016 3.570 2.242
Y 11.939 2.230 -4.040
O 10.192 5.994 -4.613
O 0.979 1.237 1.535
O 11.393 3.988 -5.600
O 11.486 6.171 -6.850
Y 7.953 2.424 -0.228
O 0.402 6.164 0.510
Y 1.250 7.045 4.304
Na 10.667 0.760 -0.692
O 0.656 3.135 4.679
P 13.189 8.700 -1.898
O 2.085 6.097 2.543
O 12.700 5.920 -4.642
O 12.523 8.725 -7.828
Na 6.544 0.758 2.349
Nb 5.094 2.273 5.230
Na 9.850 2.333 2.488
Y 8.127 6.953 -4.995
O 4.781 1.548 -2.319
O 5.818 4.102 -3.297
O 7.352 4.869 3.604
P 1.872 3.647 5.487
Si 4.551 8.389 3.840
O 1.743 3.241 6.956
O 7.106 1.543 -4.021
O 4.446 0.818 4.071
O 7.684 5.860 -2.996
P 4.727 0.894 -0.850
O 4.574 8.187 2.191
P 8.577 8.270 0.956
Na 6.721 8.193 -2.289
O 12.677 3.284 -0.083
Si 8.684 0.990 -3.533
P 11.431 5.517 -5.381
O 3.060 6.422 0.072
O 0.621 7.625 6.442
Na 2.478 8.601 1.054
O 0.542 8.820 3.307
Na 3.146 6.955 7.019
O 11.277 3.565 -2.340
O 5.974 7.905 4.448
Si 11.255 3.767 -0.691
O 3.184 3.075 4.842
O 12.243 1.411 -6.198
Y 1.422 2.330 -0.464
O 10.035 3.058 0.115
Na 3.203 2.398 2.362
O 8.788 1.475 -1.988
O 0.647 0.246 8.135
Na 9.908 7.021 -2.169
O 9.764 1.800 -4.459
O 1.998 5.197 5.456
O 8.736 8.606 -3.592
O 5.540 6.032 -1.667
O 7.245 4.199 -1.224

! Na5Y2Nb2Si3P3O24 PBE-GGA optimized geometry; values from VASP
! Energy of formation from the pure elements = -2.984 eV/atom
&SYSTEM
  ibrav = 0, nat = 117, ntyp = 6
/
ATOMIC_SPECIES
O 16.00 O.upf
Na 22.99 Na.upf
Y 88.91 Y.upf
P 30.97 P.upf
Si 28.09 Si.upf
Nb 92.91 Nb.upf
CELL_PARAMETERS angstrom
9.190 0.026 0.028
-4.573 8.002 -0.043
0.073 -0.086 22.760
ATOMIC_POSITIONS angstrom
O 6.478 2.764 14.467
Na 0.257 5.256 3.741
O 1.640 5.650 5.751
O -0.471 3.911 5.806
O 3.839 6.292 20.677
O 5.141 6.557 2.094
O 1.106 6.963 10.887
Na 6.235 5.070 5.557
O -2.800 7.787 20.718
O 1.552 0.238 13.476
Y 4.662 2.667 15.651
O 5.410 0.969 3.129
O 6.247 3.007 20.900
O 0.691 6.814 8.243
O 1.056 6.418 17.212
O 5.236 4.224 0.590
O 8.135 1.195 13.364
Na 9.207 -0.037 22.683
O 1.780 5.399 13.231
O 4.185 6.513 13.410
O 5.608 6.314 18.383
O 0.796 3.541 10.655
O 2.762 2.756 3.218
P 6.023 0.388 1.876
Si -1.207 7.678 20.897
Na 3.337 0.026 16.957
Si 1.927 7.884 17.062
Na 4.777 2.539 18.929
O -1.710 5.352 1.737
O -1.492 5.622 17.132
O 4.148 1.144 21.038
O 1.022 1.136 2.058
O 5.657 3.832 9.617
Si 1.359 7.744 9.520
Na 0.227 5.089 15.094
O 3.689 4.200 14.597
Si 1.857 2.604 1.946
P -1.370 2.967 20.871
O 7.498 0.110 9.468
O 3.651 3.815 20.917
Na 4.591 7.889 11.265
Na 2.908 0.124 9.474
O -3.553 6.583 9.347
Nb 0.051 5.303 7.152
O 5.766 4.150 3.216
O 3.577 6.646 4.426
O -0.834 1.549 20.768
O 0.674 1.531 15.830
O 5.070 1.182 9.581
Y 9.190 0.033 19.441
O 7.400 0.035 18.384
P 1.476 2.995 9.422
Y 4.598 2.636 4.249
O -1.049 6.514 5.737
O 2.034 5.357 22.086
O -0.520 6.776 19.582
O -0.928 3.930 19.687
Si 3.339 5.049 13.324
O 0.578 3.699 17.185
Na -1.602 7.682 1.763
O 5.689 1.352 0.659
O 3.798 4.312 5.492
Si 5.891 5.072 1.916
O 2.932 2.429 0.610
O -0.874 3.556 22.190
P -1.836 7.885 5.688
O 5.587 4.253 16.977
O 0.986 1.556 9.247
O 1.120 3.925 8.194
O 2.807 2.503 16.891
O 3.692 1.046 5.587
O -0.928 3.721 13.075
O -0.838 6.787 13.134
Na 1.577 7.722 13.204
Na 4.628 2.623 7.504
O 6.380 2.363 11.982
Nb 4.583 2.680 10.948
O 7.594 0.375 1.989
Na 6.001 5.389 20.842
O 1.833 5.032 19.591
P -3.076 5.638 17.083
O -1.836 5.395 10.855
Si -2.690 5.240 9.517
O 5.390 1.044 17.042
O 6.338 2.780 5.675
Si -1.274 2.430 5.750
O 4.012 4.209 11.985
Na -1.344 2.812 1.888
O 0.762 3.763 1.800
Nb 4.587 2.586 22.327
O 1.130 1.454 18.290
O 0.881 6.989 1.666
O 2.957 7.769 15.704
Na 7.593 2.418 9.369
Nb 0.145 5.317 18.519
Na -2.784 5.504 13.152
O 8.203 1.676 7.134
O 3.033 2.951 9.565
Nb 9.186 0.027 3.395
Y 0.126 5.283 11.767
Nb 9.214 -0.026 14.767
P 1.303 2.325 17.066
Y 0.085 5.329 0.376
O 3.834 6.277 6.888
P 3.188 5.700 5.645
Si 3.211 0.312 13.326
O 3.628 1.316 11.996
O -2.858 7.732 4.454
O 1.934 0.007 7.011
O 3.938 0.901 14.616
O -0.965 6.841 22.234
O -0.665 1.514 4.425
P 7.338 2.547 13.246
P 2.828 5.155 20.823
O -1.574 5.057 8.201
Y 4.558 7.961 7.966
O -3.444 6.596 15.838

! Na5YNb3Si5PO24 PBE-GGA optimized geometry; values from VASP
! Energy of formation from the pure elements = -3.003 eV/atom
&SYSTEM
  ibrav = 0, nat = 117, ntyp = 6
/
ATOMIC_SPECIES
O 16.00 O.upf
Na 22.99 Na.upf
P 30.97 P.upf
Si 28.09 Si.upf
Y 88.91 Y.upf
Nb 92.91 Nb.upf
CELL_PARAMETERS angstrom
-0.976 5.912 6.876
0.206 -8.974 1.703
22.610 0.994 2.329
ATOMIC_POSITIONS angstrom
O 2.536 0.698 7.478
Na 16.415 -1.104 7.126
O 10.485 -1.978 4.143
O 8.078 -4.515 2.808
O 16.579 0.764 5.475
O 1.322 -2.365 3.349
O 0.208 0.138 3.758
O 9.004 2.822 5.513
Na 6.776 1.316 5.731
O 20.116 2.712 8.644
O 18.137 0.361 3.419
O 20.385 2.596 5.890
O 12.896 -2.984 3.233
P 5.121 -1.959 6.607
Si 20.250 -1.356 7.559
O 1.243 4.902 5.981
Y 14.867 1.608 6.758
O 6.091 4.251 7.876
O 0.012 0.198 6.645
P 12.821 2.429 3.939
Si 9.060 -4.549 6.837
Si 1.173 3.702 4.834
O 12.342 4.958 8.385
O 1.234 -4.476 5.096
O 15.558 -0.094 3.049
O 14.100 -0.426 6.749
O 14.039 2.474 4.861
Na 18.308 1.770 7.094
O 16.742 -3.471 6.758
Si 16.524 -3.962 8.328
O 9.593 -6.858 2.447
O 20.617 -0.658 2.595
O 13.027 1.490 2.728
Na 16.588 2.891 4.347
O 6.896 1.551 2.215
O 3.816 -2.466 7.348
O 1.923 -0.243 1.769
Si 9.527 -5.244 2.382
O -0.079 2.663 5.129
Nb 6.863 -3.712 4.188
Si 5.633 -6.921 4.350
O 19.041 -1.921 6.554
O 1.597 -5.021 2.410
O 12.576 -2.393 5.973
O 12.770 -5.101 5.152
O 4.467 -7.581 3.284
Na 9.041 2.018 3.240
O 5.610 -2.941 2.635
Nb 10.347 1.431 6.318
Na 21.531 6.798 9.202
Na 1.769 -6.770 4.057
Nb 3.294 0.136 0.386
Nb 19.606 -8.112 3.700
Si 16.786 -0.164 4.167
Na 1.395 -2.156 5.909
Na 15.999 3.294 9.178
Na 4.647 0.425 8.473
Y 3.502 1.168 5.512
Si 20.729 -2.227 3.033
O 13.801 2.684 8.316
O 19.333 -2.781 3.755
Na 14.825 -3.316 4.952
Na 8.507 3.515 8.108
Si 17.132 -5.666 3.021
O 7.877 -2.003 4.231
O 2.504 2.850 4.613
O 20.633 -6.885 4.933
Si 1.539 -0.740 3.320
O 17.478 -0.700 10.063
O 11.393 -0.108 6.846
O 16.261 0.938 8.437
O 17.468 5.588 7.619
O 8.855 -3.652 8.162
O 15.087 -3.235 8.799
O 16.321 3.399 6.737
O 12.612 -1.758 8.580
O 21.869 -4.750 5.872
O 19.971 -1.781 9.116
Si 20.582 -5.725 6.088
O 6.346 -2.052 7.528
O 4.773 2.311 7.089
O 11.544 1.903 4.731
Nb 21.534 1.940 7.430
O 8.858 1.166 7.695
O 19.222 -4.771 5.927
O 4.522 -1.425 0.903
Nb 13.827 -2.443 10.046
Nb 18.237 -3.195 5.317
Si 12.712 -1.166 7.049
Na 3.539 -3.732 3.785
O 1.261 -1.483 8.323
Si 9.190 -1.013 3.976
Y 7.965 0.331 0.841
O 21.872 -2.366 4.191
O 10.358 -3.992 6.067
Si 1.097 0.154 7.896
Na 11.586 -8.467 2.880
O 15.813 -6.647 3.274
O 4.989 -0.486 6.228
O 21.624 -2.078 7.070
O 20.370 0.271 7.392
Nb 11.605 -3.471 4.640
Na 8.853 -1.470 6.985
O 2.716 -0.505 4.371
O 9.160 0.143 5.161
Nb 0.165 -3.992 3.430
O 9.326 -0.335 2.515
O 5.598 -5.273 3.987
O 16.903 -1.770 4.586
O 5.348 -2.893 5.372
O 17.052 -4.514 4.219
O 5.175 1.733 4.186
O 10.639 -4.664 3.403
Si 12.360 3.326 8.580
O 11.195 2.696 7.509
P 5.736 -2.401 1.158
O 7.813 -4.459 5.704

Q: Among the records above, which one has the highest energy of formation from the pure elements?
A: Na5Y2Nb2Si3P3O24

Q: Among the records above, which one has the lowest energy of formation from the pure elements?
A: Na6Y3NbSi2P4O24

Q: energy of formation from the pure elements of number 3 (Na5YNb3Si5PO24)?
A: -3.003 eV/atom

Q: Which of these has the lowest energy of formation from the pure elements?
A: Na6Y3NbSi2P4O24